# 1
# SmH32C8N4Cl7 | Materials Project | PBE | optimized geometry
# V: 1262 Å³/cell
# ΔE_f: -0.5660 eV/atom
# Space group: P2_12_12, No. 18
data_SmH32C8N4Cl7
_chemical_formula_sum 'Sm2 H64 C16 N8 Cl14'
_symmetry_space_group_name_H-M 'P 1'
_symmetry_Int_Tables_number 1
_cell_length_a 8.844
_cell_length_b 10.555
_cell_length_c 13.523
_cell_angle_alpha 90.00
_cell_angle_beta 90.00
_cell_angle_gamma 90.00
loop_
_symmetry_equiv_pos_as_xyz
'x,y,z'
loop_
_atom_site_label
_atom_site_type_symbol
_atom_site_fract_x
_atom_site_fract_y
_atom_site_fract_z
N1 N 0.968 0.371 0.319
H1 H 0.963 0.609 0.756
H2 H 0.826 0.615 0.555
H3 H 0.458 0.342 0.238
C1 C 0.824 0.587 0.633
C2 C 0.893 0.931 0.139
H4 H 0.271 0.132 0.830
H5 H 0.624 0.178 0.566
Cl1 Cl 0.874 0.414 0.859
H6 H 0.703 0.731 0.912
H7 H 0.663 0.708 0.283
H8 H 0.613 0.336 0.982
Cl2 Cl 0.938 0.230 0.593
H9 H 0.037 0.109 0.744
N2 N 0.032 0.129 0.819
H10 H 0.536 0.185 0.228
C3 C 0.176 0.087 0.867
H11 H 0.464 0.685 0.272
Cl3 Cl 0.062 0.270 0.093
Cl4 Cl 0.874 0.586 0.141
H12 H 0.037 0.891 0.256
C4 C 0.448 0.250 0.201
N3 N 0.032 0.871 0.181
H13 H 0.458 0.178 0.057
H14 H 0.185 0.984 0.861
Cl5 Cl 0.701 0.921 0.620
C5 C 0.107 0.431 0.361
H15 H 0.387 0.164 0.482
H16 H 0.978 0.727 0.675
H17 H 0.878 0.101 0.937
N4 N 0.464 0.268 0.092
H18 H 0.663 0.292 0.717
Sm1 Sm 0.929 0.000 0.500
N5 N 0.536 0.768 0.408
H19 H 0.185 0.016 0.139
H20 H 0.613 0.664 0.018
H21 H 0.795 0.901 0.184
H22 H 0.376 0.322 0.066
Cl6 Cl 0.126 0.086 0.359
N6 N 0.464 0.732 0.908
C6 C 0.107 0.569 0.639
H23 H 0.464 0.315 0.728
H24 H 0.376 0.678 0.934
H25 H 0.616 0.422 0.095
H26 H 0.387 0.836 0.518
H27 H 0.542 0.678 0.443
H28 H 0.205 0.599 0.684
C7 C 0.893 0.069 0.861
C8 C 0.448 0.750 0.799
H29 H 0.542 0.842 0.262
H30 H 0.878 0.899 0.063
H31 H 0.297 0.769 0.412
H32 H 0.703 0.269 0.088
H33 H 0.337 0.792 0.783
H34 H 0.815 0.516 0.361
H35 H 0.795 0.099 0.816
C9 C 0.391 0.828 0.437
Cl7 Cl 0.482 0.500 0.500
C10 C 0.609 0.328 0.063
C11 C 0.176 0.913 0.133
Cl8 Cl 0.062 0.730 0.907
Cl9 Cl 0.299 0.421 0.880
H36 H 0.384 0.078 0.595
C12 C 0.391 0.172 0.563
Cl10 Cl 0.701 0.079 0.380
H37 H 0.458 0.822 0.943
H38 H 0.205 0.401 0.316
C13 C 0.609 0.672 0.937
H39 H 0.963 0.391 0.244
Sm2 Sm 0.071 0.500 0.000
H40 H 0.542 0.322 0.557
Cl11 Cl 0.299 0.579 0.120
H41 H 0.174 0.115 0.945
H42 H 0.624 0.822 0.434
N7 N 0.536 0.232 0.592
H43 H 0.905 0.967 0.857
H44 H 0.542 0.158 0.738
H45 H 0.337 0.208 0.217
C14 C 0.552 0.750 0.299
H46 H 0.729 0.368 0.330
C15 C 0.824 0.413 0.367
H47 H 0.458 0.658 0.762
H48 H 0.978 0.273 0.325
H49 H 0.616 0.578 0.905
H50 H 0.022 0.227 0.825
H51 H 0.384 0.922 0.405
N8 N 0.968 0.629 0.681
H52 H 0.905 0.033 0.143
H53 H 0.022 0.773 0.175
H54 H 0.826 0.385 0.445
H55 H 0.297 0.231 0.588
H56 H 0.271 0.868 0.170
C16 C 0.552 0.250 0.701
H57 H 0.095 0.533 0.357
H58 H 0.174 0.885 0.055
H59 H 0.095 0.467 0.643
Cl12 Cl 0.518 0.000 0.000
H60 H 0.122 0.399 0.437
H61 H 0.815 0.484 0.639
Cl13 Cl 0.126 0.914 0.641
Cl14 Cl 0.938 0.770 0.407
H62 H 0.122 0.601 0.563
H63 H 0.729 0.632 0.670
H64 H 0.536 0.815 0.772


# 2
# K2Na2Eu4Ta2O13 | Materials Project | PBE | optimized geometry
# V: 712 Å³/cell
# ΔE_f: -2.9815 eV/atom
# Space group: C2/c, No. 15
data_K2Na2Eu4Ta2O13
_chemical_formula_sum 'K4 Na4 Eu8 Ta4 O26'
_symmetry_space_group_name_H-M 'P 1'
_symmetry_Int_Tables_number 1
_cell_length_a 5.725
_cell_length_b 11.359
_cell_length_c 12.570
_cell_angle_alpha 115.73
_cell_angle_beta 103.16
_cell_angle_gamma 90.00
loop_
_symmetry_equiv_pos_as_xyz
'x,y,z'
loop_
_atom_site_label
_atom_site_type_symbol
_atom_site_fract_x
_atom_site_fract_y
_atom_site_fract_z
O1 O 0.859 0.876 0.268
O2 O 0.672 0.875 0.469
Na1 Na 0.122 0.524 0.318
O3 O 0.758 0.750 0.000
O4 O 0.559 0.863 0.740
O5 O 0.797 0.375 0.469
K1 K 0.698 0.633 0.499
O6 O 0.356 0.642 0.263
O7 O 0.372 0.840 0.203
K2 K 0.199 0.867 0.501
O8 O 0.093 0.858 0.737
Eu1 Eu 0.971 0.326 0.875
Na2 Na 0.878 0.476 0.682
O9 O 0.242 0.250 0.000
K3 K 0.801 0.133 0.499
O10 O 0.441 0.137 0.260
O11 O 0.750 0.021 0.998
O12 O 0.141 0.124 0.732
Ta1 Ta 0.383 0.219 0.700
Na3 Na 0.804 0.976 0.682
K4 K 0.302 0.367 0.501
Ta2 Ta 0.317 0.719 0.700
Eu2 Eu 0.479 0.552 0.874
O13 O 0.409 0.376 0.268
Eu3 Eu 0.029 0.674 0.125
O14 O 0.169 0.660 0.797
O15 O 0.907 0.142 0.263
O16 O 0.328 0.125 0.531
O17 O 0.831 0.340 0.203
Eu4 Eu 0.096 0.174 0.125
O18 O 0.752 0.479 0.002
Ta3 Ta 0.617 0.781 0.300
Ta4 Ta 0.683 0.281 0.300
Eu5 Eu 0.396 0.052 0.874
Eu6 Eu 0.904 0.826 0.875
O19 O 0.203 0.625 0.531
O20 O 0.628 0.160 0.797
O21 O 0.250 0.979 0.002
O22 O 0.644 0.358 0.737
Na4 Na 0.196 0.024 0.318
O23 O 0.818 0.637 0.260
O24 O 0.248 0.521 0.998
Eu7 Eu 0.521 0.448 0.126
Eu8 Eu 0.604 0.948 0.126
O25 O 0.182 0.363 0.740
O26 O 0.591 0.624 0.732


# 3
# CuBr2 | Materials Project | PBE | optimized geometry
# V: 183 Å³/cell
# ΔE_f: -0.4598 eV/atom
# Space group: I4/mmm, No. 139
data_CuBr2
_chemical_formula_sum 'Cu1 Br2'
_symmetry_space_group_name_H-M 'P 1'
_symmetry_Int_Tables_number 1
_cell_length_a 8.548
_cell_length_b 8.548
_cell_length_c 8.548
_cell_angle_alpha 147.20
_cell_angle_beta 147.20
_cell_angle_gamma 47.07
loop_
_symmetry_equiv_pos_as_xyz
'x,y,z'
loop_
_atom_site_label
_atom_site_type_symbol
_atom_site_fract_x
_atom_site_fract_y
_atom_site_fract_z
Br1 Br 0.000 0.500 0.500
Cu1 Cu 0.000 0.000 0.000
Br2 Br 0.500 0.000 0.500


# 4
# Nd2Ir7 | Materials Project | PBE | optimized geometry
# V: 330 Å³/cell
# ΔE_f: -0.4539 eV/atom
# Space group: R-3m, No. 166
data_Nd2Ir7
_chemical_formula_sum 'Nd4 Ir14'
_symmetry_space_group_name_H-M 'P 1'
_symmetry_Int_Tables_number 1
_cell_length_a 13.547
_cell_length_b 13.547
_cell_length_c 13.547
_cell_angle_alpha 22.89
_cell_angle_beta 22.89
_cell_angle_gamma 22.89
loop_
_symmetry_equiv_pos_as_xyz
'x,y,z'
loop_
_atom_site_label
_atom_site_type_symbol
_atom_site_fract_x
_atom_site_fract_y
_atom_site_fract_z
Nd1 Nd 0.852 0.852 0.852
Ir1 Ir 0.500 0.500 0.000
Ir2 Ir 0.500 0.500 0.500
Ir3 Ir 0.389 0.389 0.389
Ir4 Ir 0.500 0.000 0.500
Ir5 Ir 0.000 0.500 0.500
Ir6 Ir 0.722 0.722 0.722
Nd2 Nd 0.148 0.148 0.148
Ir7 Ir 0.278 0.278 0.278
Ir8 Ir 0.391 0.889 0.391
Nd3 Nd 0.051 0.051 0.051
Ir9 Ir 0.611 0.611 0.611
Ir10 Ir 0.609 0.111 0.609
Nd4 Nd 0.949 0.949 0.949
Ir11 Ir 0.889 0.391 0.391
Ir12 Ir 0.111 0.609 0.609
Ir13 Ir 0.609 0.609 0.111
Ir14 Ir 0.391 0.391 0.889


# 5
# CeO2 | Materials Project | PBE | optimized geometry
# V: 41 Å³/cell
# ΔE_f: -3.9285 eV/atom
# Space group: Fm-3m, No. 225
data_CeO2
_chemical_formula_sum 'Ce1 O2'
_symmetry_space_group_name_H-M 'P 1'
_symmetry_Int_Tables_number 1
_cell_length_a 3.866
_cell_length_b 3.866
_cell_length_c 3.866
_cell_angle_alpha 60.00
_cell_angle_beta 60.00
_cell_angle_gamma 60.00
loop_
_symmetry_equiv_pos_as_xyz
'x,y,z'
loop_
_atom_site_label
_atom_site_type_symbol
_atom_site_fract_x
_atom_site_fract_y
_atom_site_fract_z
O1 O 0.250 0.250 0.250
Ce1 Ce 0.000 0.000 0.000
O2 O 0.750 0.750 0.750


# 6
# SnGeN2 | Materials Project | PBE | optimized geometry
# V: 115 Å³/cell
# ΔE_f: -0.0635 eV/atom
# Space group: Ima2, No. 46
data_SnGeN2
_chemical_formula_sum 'Sn2 Ge2 N4'
_symmetry_space_group_name_H-M 'P 1'
_symmetry_Int_Tables_number 1
_cell_length_a 5.150
_cell_length_b 5.476
_cell_length_c 5.476
_cell_angle_alpha 62.77
_cell_angle_beta 61.95
_cell_angle_gamma 61.95
loop_
_symmetry_equiv_pos_as_xyz
'x,y,z'
loop_
_atom_site_label
_atom_site_type_symbol
_atom_site_fract_x
_atom_site_fract_y
_atom_site_fract_z
Ge1 Ge 0.616 0.882 0.882
N1 N 0.959 0.896 0.896
N2 N 0.596 0.500 0.000
Sn1 Sn 0.419 0.632 0.632
Ge2 Ge 0.880 0.118 0.118
Sn2 Sn 0.182 0.368 0.368
N3 N 0.596 0.000 0.500
N4 N 0.251 0.104 0.104


# 7
# PrCuSe2 | Materials Project | PBE | optimized geometry
# V: 369 Å³/cell
# ΔE_f: -1.4754 eV/atom
# Space group: P2_1/c, No. 14
data_PrCuSe2
_chemical_formula_sum 'Pr4 Cu4 Se8'
_symmetry_space_group_name_H-M 'P 1'
_symmetry_Int_Tables_number 1
_cell_length_a 7.551
_cell_length_b 6.785
_cell_length_c 7.248
_cell_angle_alpha 83.35
_cell_angle_beta 90.00
_cell_angle_gamma 90.00
loop_
_symmetry_equiv_pos_as_xyz
'x,y,z'
loop_
_atom_site_label
_atom_site_type_symbol
_atom_site_fract_x
_atom_site_fract_y
_atom_site_fract_z
Se1 Se 0.388 0.903 0.278
Se2 Se 0.724 0.584 0.002
Se3 Se 0.888 0.097 0.222
Cu1 Cu 0.839 0.932 0.546
Se4 Se 0.224 0.416 0.498
Se5 Se 0.112 0.903 0.778
Se6 Se 0.776 0.584 0.502
Pr1 Pr 0.046 0.693 0.201
Pr2 Pr 0.454 0.693 0.701
Cu2 Cu 0.161 0.068 0.454
Pr3 Pr 0.954 0.307 0.799
Pr4 Pr 0.546 0.307 0.299
Cu3 Cu 0.339 0.068 0.954
Se7 Se 0.276 0.416 0.998
Se8 Se 0.612 0.097 0.722
Cu4 Cu 0.661 0.932 0.046


# 8
# Ag2Hg | Materials Project | PBE | optimized geometry
# V: 60 Å³/cell
# ΔE_f: 0.0512 eV/atom
# Space group: P-3m1, No. 164
data_Ag2Hg
_chemical_formula_sum 'Ag2 Hg1'
_symmetry_space_group_name_H-M 'P 1'
_symmetry_Int_Tables_number 1
_cell_length_a 3.092
_cell_length_b 3.092
_cell_length_c 7.244
_cell_angle_alpha 90.00
_cell_angle_beta 90.00
_cell_angle_gamma 120.00
loop_
_symmetry_equiv_pos_as_xyz
'x,y,z'
loop_
_atom_site_label
_atom_site_type_symbol
_atom_site_fract_x
_atom_site_fract_y
_atom_site_fract_z
Hg1 Hg 0.000 0.000 0.000
Ag1 Ag 0.333 0.667 0.657
Ag2 Ag 0.667 0.333 0.343


Number 1: total DFT energy (no corrections) -4.972 eV per atom. Number 2: total DFT energy (no corrections) -8.416 eV per atom. Number 3: total DFT energy (no corrections) -2.562 eV per atom. Number 4: total DFT energy (no corrections) -8.388 eV per atom. Number 5: total DFT energy (no corrections) -8.747 eV per atom. Number 6: total DFT energy (no corrections) -6.209 eV per atom. Number 7: total DFT energy (no corrections) -5.207 eV per atom. Number 8: total DFT energy (no corrections) -1.938 eV per atom.